The following is a GGA+U calculation of crystalline Li3Fe2P3O12 at its relaxed geometry, from the Materials Project database.

Cell: 15.191 8.722 8.713 Å, 90.00 124.90 90.00°
Space group Cc (No. 9)
Inequivalent atoms, fractional coordinates:
Li  0.000  0.073  0.000 x4
Li  0.178  0.368  0.954 x4
Li  0.381  0.160  0.027 x4
Fe  0.086  0.253  0.558 x4
Fe  0.290  0.250  0.344 x4
P  0.047  0.389  0.159 x4
P  0.184  0.047  0.946 x4
P  0.327  0.389  0.744 x4
O  0.023  0.437  0.619 x4
O  0.078  0.366  0.359 x4
O  0.098  0.148  0.779 x4
O  0.121  0.045  0.505 x4
O  0.141  0.336  0.147 x4
O  0.235  0.328  0.757 x4
O  0.247  0.055  0.394 x4
O  0.271  0.157  0.103 x4
O  0.303  0.362  0.550 x4
O  0.345  0.435  0.279 x4
O  0.429  0.309  0.907 x4
O  0.450  0.210  0.514 x4

Output
E (MP2020)   -147.87 eV/f.u.
Total magnetization   40.0 μB per cell
Total DFT energy (no corrections)   -6.76 eV per atom
Distance to the lowest polymorph of the same formula   0.028 eV/atom
Formation energy from the elements   -2.48 eV per atom



The following is a GGA+U calculation of crystalline LiFePO4 at its relaxed geometry, from the Materials Project database.

Cell: 10.258 5.097 6.877 Å, 90.00 90.00 90.00°
Space group Pna2_1 (No. 33)
Inequivalent atoms, fractional coordinates:
Li  0.154  0.195  0.000 x4
Fe  0.152  0.196  0.500 x4
P  0.097  0.693  0.751 x4
O  0.051  0.240  0.249 x4
O  0.121  0.391  0.753 x4
O  0.160  0.815  0.936 x4
O  0.162  0.805  0.563 x4

Output
E (MP2020)   -52.87 eV/f.u.
Total magnetization   0.0 μB per cell
Total DFT energy (no corrections)   -6.84 eV per atom
Distance to the lowest polymorph of the same formula   0.011 eV/atom
Formation energy from the elements   -2.47 eV per atom



The following is a GGA+U calculation of crystalline LiFePO4 at its relaxed geometry, from the Materials Project database.

Cell: 8.895 7.816 17.656 Å, 90.00 119.30 90.00°
Space group P2_1/c (No. 14)
Inequivalent atoms, fractional coordinates:
Li  0.001  0.156  0.250 x4
Li  0.284  0.505  0.571 x4
Li  0.345  0.512  0.081 x4
Fe  0.027  0.168  0.425 x4
Fe  0.311  0.168  0.231 x4
Fe  0.363  0.669  0.407 x4
P  0.047  0.749  0.929 x4
P  0.306  0.743  0.724 x4
P  0.358  0.247  0.407 x4
O  0.065  0.249  0.172 x4
O  0.073  0.202  0.033 x4
O  0.129  0.570  0.963 x4
O  0.157  0.238  0.361 x4
O  0.199  0.622  0.459 x4
O  0.215  0.740  0.280 x4
O  0.237  0.615  0.153 x4
O  0.262  0.570  0.675 x4
O  0.421  0.113  0.363 x4
O  0.423  0.076  0.894 x4
O  0.427  0.208  0.505 x4
O  0.498  0.244  0.210 x4

Output
E (MP2020)   -52.46 eV/f.u.
Total magnetization   48.0 μB per cell
Total DFT energy (no corrections)   -6.78 eV per atom
Distance to the lowest polymorph of the same formula   0.070 eV/atom
Formation energy from the elements   -2.41 eV per atom



The following is a GGA+U calculation of crystalline Li2FePO5 at its relaxed geometry, from the Materials Project database.

Cell: 4.886 5.608 16.557 Å, 90.00 106.67 90.00°
Space group Pc (No. 7)
Inequivalent atoms, fractional coordinates:
Li  0.000  0.076  0.000 x2
Li  0.300  0.407  0.796 x2
Li  0.398  0.077  0.395 x2
Li  0.717  0.413  0.213 x2
Fe  0.514  0.419  0.008 x2
Fe  0.616  0.084  0.609 x2
P  0.215  0.090  0.210 x2
P  0.918  0.415  0.405 x2
O  0.025  0.159  0.417 x2
O  0.098  0.424  0.981 x2
O  0.245  0.020  0.624 x2
O  0.326  0.346  0.218 x2
O  0.361  0.069  0.785 x2
O  0.597  0.429  0.411 x2
O  0.599  0.089  0.008 x2
O  0.677  0.411  0.606 x2
O  0.881  0.091  0.197 x2
O  0.932  0.472  0.822 x2

Output
E (MP2020)   -64.15 eV/f.u.
Total magnetization   0.0 μB per cell
Total DFT energy (no corrections)   -6.50 eV per atom
Distance to the lowest polymorph of the same formula   0.000 eV/atom
Formation energy from the elements   -2.41 eV per atom



The following is a GGA+U calculation of crystalline Li5Fe4P8O28 at its relaxed geometry, from the Materials Project database.

Cell: 9.782 9.833 11.124 Å, 89.94 78.27 89.84°
Space group P1 (No. 1)
Inequivalent atoms, fractional coordinates:
Li  0.000  0.000  0.000 x1
Li  0.011  0.282  0.946 x1
Li  0.035  0.667  0.523 x1
Li  0.213  0.451  0.466 x1
Li  0.513  0.355  0.944 x1
Li  0.535  0.951  0.516 x1
Li  0.716  0.165  0.458 x1
Li  0.736  0.765  0.031 x1
Li  0.770  0.470  0.443 x1
Li  0.983  0.972  0.536 x1
Fe  0.335  0.645  0.825 x1
Fe  0.375  0.360  0.670 x1
Fe  0.377  0.855  0.314 x1
Fe  0.415  0.138  0.160 x1
Fe  0.826  0.985  0.813 x1
Fe  0.873  0.778  0.314 x1
Fe  0.880  0.277  0.665 x1
Fe  0.919  0.491  0.162 x1
P  0.004  0.706  0.917 x1
P  0.008  0.271  0.373 x1
P  0.063  0.486  0.734 x1
P  0.100  0.010  0.249 x1
P  0.147  0.111  0.741 x1
P  0.185  0.637  0.254 x1
P  0.245  0.851  0.608 x1
P  0.250  0.418  0.065 x1
P  0.501  0.916  0.918 x1
P  0.505  0.350  0.374 x1
P  0.564  0.135  0.728 x1
P  0.598  0.613  0.244 x1
P  0.652  0.509  0.732 x1
P  0.687  0.986  0.248 x1
P  0.741  0.767  0.607 x1
P  0.748  0.210  0.066 x1
O  0.001  0.088  0.702 x1
O  0.019  0.924  0.356 x1
O  0.028  0.160  0.264 x1
O  0.037  0.646  0.223 x1
O  0.057  0.494  0.600 x1
O  0.091  0.965  0.124 x1
O  0.095  0.407  0.057 x1
O  0.103  0.828  0.582 x1
O  0.129  0.129  0.877 x1
O  0.147  0.300  0.401 x1
O  0.157  0.712  0.926 x1
O  0.183  0.620  0.389 x1
O  0.217  0.480  0.756 x1
O  0.232  0.221  0.661 x1
O  0.236  0.974  0.705 x1
O  0.254  0.502  0.187 x1
O  0.256  0.027  0.268 x1
O  0.281  0.757  0.205 x1
O  0.305  0.734  0.672 x1
O  0.316  0.281  0.085 x1
O  0.341  0.490  0.956 x1
O  0.348  0.900  0.489 x1
O  0.400  0.396  0.493 x1
O  0.421  0.999  0.025 x1
O  0.442  0.779  0.896 x1
O  0.447  0.233  0.309 x1
O  0.472  0.257  0.783 x1
O  0.495  0.526  0.713 x1
O  0.496  0.000  0.794 x1
O  0.513  0.473  0.278 x1
O  0.518  0.719  0.335 x1
O  0.533  0.977  0.226 x1
O  0.563  0.122  0.594 x1
O  0.596  0.222  0.053 x1
O  0.602  0.642  0.112 x1
O  0.602  0.800  0.582 x1
O  0.647  0.328  0.402 x1
O  0.659  0.904  0.922 x1
O  0.660  0.462  0.858 x1
O  0.694  0.989  0.382 x1
O  0.714  0.143  0.758 x1
O  0.723  0.658  0.717 x1
O  0.734  0.424  0.625 x1
O  0.745  0.130  0.194 x1
O  0.748  0.589  0.276 x1
O  0.781  0.874  0.179 x1
O  0.816  0.888  0.659 x1
O  0.821  0.344  0.083 x1
O  0.841  0.124  0.965 x1
O  0.846  0.705  0.495 x1
O  0.903  0.208  0.484 x1
O  0.909  0.633  0.024 x1
O  0.935  0.391  0.319 x1
O  0.940  0.848  0.899 x1
O  0.975  0.368  0.797 x1
O  0.997  0.625  0.793 x1

Output
E (MP2020)   -337.35 eV/f.u.
Total magnetization   38.0 μB per cell
Total DFT energy (no corrections)   -6.87 eV per atom
Distance to the lowest polymorph of the same formula   0.000 eV/atom
Formation energy from the elements   -2.49 eV per atom



The following is a GGA+U calculation of crystalline LiFeP3O9 at its relaxed geometry, from the Materials Project database.

Cell: 5.321 10.696 12.082 Å, 90.00 90.00 90.00°
Space group P2_12_12_1 (No. 19)
Inequivalent atoms, fractional coordinates:
Li  0.104  0.112  0.082 x4
Fe  0.093  0.469  0.132 x4
P  0.078  0.194  0.820 x4
P  0.108  0.849  0.861 x4
P  0.121  0.574  0.875 x4
O  0.004  0.990  0.541 x4
O  0.044  0.439  0.572 x4
O  0.066  0.319  0.746 x4
O  0.084  0.088  0.724 x4
O  0.122  0.715  0.924 x4
O  0.132  0.117  0.323 x4
O  0.132  0.463  0.325 x4
O  0.162  0.687  0.614 x4
O  0.176  0.812  0.379 x4

Output
E (MP2020)   -106.00 eV/f.u.
Total magnetization   16.0 μB per cell
Total DFT energy (no corrections)   -6.97 eV per atom
Distance to the lowest polymorph of the same formula   0.065 eV/atom
Formation energy from the elements   -2.49 eV per atom



The following is a GGA+U calculation of crystalline LiFe2P3O12 at its relaxed geometry, from the Materials Project database.

Cell: 8.261 8.266 8.736 Å, 118.18 90.27 119.71°
Space group P-1 (No. 2)
Inequivalent atoms, fractional coordinates:
Li  0.170  0.150  0.444 x2
Fe  0.143  0.290  0.928 x2
Fe  0.351  0.701  0.553 x2
P  0.032  0.777  0.742 x2
P  0.262  0.792  0.254 x2
P  0.464  0.508  0.748 x2
O  0.012  0.794  0.921 x2
O  0.095  0.989  0.747 x2
O  0.124  0.866  0.255 x2
O  0.174  0.704  0.688 x2
O  0.178  0.389  0.410 x2
O  0.217  0.597  0.066 x2
O  0.221  0.716  0.392 x2
O  0.252  0.362  0.741 x2
O  0.379  0.367  0.074 x2
O  0.473  0.320  0.581 x2
O  0.479  0.987  0.313 x2
O  0.488  0.686  0.713 x2

Output
E (MP2020)   -134.37 eV/f.u.
Total magnetization   16.0 μB per cell
Total DFT energy (no corrections)   -6.76 eV per atom
Distance to the lowest polymorph of the same formula   0.033 eV/atom
Formation energy from the elements   -2.22 eV per atom



Question: What is the formula in the first record?
Answer: Li3Fe2P3O12